Record 1
Below is a relaxed structure of CaNi2O4, with properties calculated at the PBE with a Hubbard U level.

Values from the calculation:
* calculated formation energy: -1095 kJ/mol of formula units
* magnetization: 8.00 μB per cell
* energy with MP2020 corrections: -6.387 eV/atom

Cell: 3.070 9.801 9.620 Å, 90.00 90.00 90.00°
Space group Cmcm (No. 63)
Unique sites:
Ca 0.000 0.106 0.250
Ni 0.000 0.362 0.068
O 0.000 0.000 0.000
O 0.000 0.269 0.606
O 0.000 0.438 0.250

Record 2
Below is a relaxed structure of CaNi2O4, with properties calculated at the PBE with a Hubbard U level.

Values from the calculation:
* calculated formation energy: -1029 kJ/mol of formula units
* magnetization: 0.00 μB per cell
* energy with MP2020 corrections: -6.289 eV/atom

Cell: 6.0441 6.0441 15.7416 Å, 90.00 90.00 120.00°
Space group R3m (No. 160, hexagonal axes)
Unique sites:
Ca 0.0000 0.0000 0.0000
Ca 0.0000 0.0000 0.3890
Ni 0.0000 0.0000 0.6083
Ni 0.1751 0.3501 0.8392
O 0.0000 0.0000 0.2493
O 0.0000 0.0000 0.7217
O 0.0481 0.5240 0.7762
O 0.1755 0.3510 0.5626